LiInSe2 | GGA-PBE | optimized geometry

Output
Space group: P4/mmm

abc: 4.016 4.016 5.465
angles: 90.00 90.00 90.00
Sites, in units of the cell vectors:
1 Se 0.000 0.000 0.500
2 Se 0.500 0.500 0.000
3 Li 0.000 0.000 0.000
4 In 0.500 0.500 0.500

Cs2NaYF6 | GGA-PBE | optimized geometry

Output
Space group: Fm-3m

abc: 6.506 6.506 6.506
angles: 60.00 60.00 60.00
Sites, in units of the cell vectors:
1 F 0.239 0.239 0.761
2 F 0.761 0.239 0.239
3 F 0.761 0.239 0.761
4 F 0.239 0.761 0.761
5 F 0.239 0.761 0.239
6 F 0.761 0.761 0.239
7 Na 0.500 0.500 0.500
8 Cs 0.250 0.250 0.250
9 Cs 0.750 0.750 0.750
10 Y 0.000 0.000 0.000

Mg5Sb | GGA-PBE | optimized geometry

Output
Relative energy among the computed polymorphs (eV/atom): 0.038
Space group: P-62m

abc: 5.705 5.705 5.003
angles: 90.00 90.00 120.00
Sites, in units of the cell vectors:
1 Mg 0.661 0.000 0.000
2 Mg 0.339 0.339 0.000
3 Mg 0.000 0.661 0.000
4 Mg 0.333 0.667 0.500
5 Mg 0.667 0.333 0.500
6 Sb 0.000 0.000 0.500

KGeSbO5 | GGA-PBE | optimized geometry

Output
Space group: Pna2_1

abc: 6.705 10.945 13.467
angles: 90.00 90.00 90.00
Sites, in units of the cell vectors:
1 Ge 0.989 0.503 0.681
2 Ge 0.511 0.503 0.181
3 Ge 0.319 0.752 0.498
4 Ge 0.011 0.003 0.319
5 Ge 0.181 0.752 0.998
6 Ge 0.681 0.252 0.502
7 Ge 0.489 0.003 0.819
8 Ge 0.819 0.252 0.002
9 O 0.538 0.126 0.736
10 O 0.549 0.384 0.270
11 O 0.527 0.377 0.725
12 O 0.000 0.368 0.014
13 O 0.956 0.130 0.780
14 O 0.456 0.630 0.720
15 O 0.960 0.115 0.997
16 O 0.000 0.868 0.986
17 O 0.500 0.868 0.486
18 O 0.044 0.630 0.220
19 O 0.713 0.533 0.101
20 O 0.287 0.033 0.899
21 O 0.038 0.626 0.764
22 O 0.473 0.877 0.275
23 O 0.544 0.130 0.280
24 O 0.787 0.533 0.601
25 O 0.695 0.963 0.893
26 O 0.027 0.877 0.775
27 O 0.159 0.772 0.601
28 O 0.049 0.884 0.230
29 O 0.460 0.615 0.503
30 O 0.831 0.239 0.610
31 O 0.973 0.377 0.225
32 O 0.451 0.884 0.730
33 O 0.659 0.272 0.899
34 O 0.540 0.115 0.497
35 O 0.341 0.772 0.101
36 O 0.962 0.126 0.236
37 O 0.462 0.626 0.264
38 O 0.040 0.615 0.003
39 O 0.213 0.033 0.399
40 O 0.169 0.739 0.390
41 O 0.305 0.463 0.107
42 O 0.195 0.463 0.607
43 O 0.841 0.272 0.399
44 O 0.500 0.368 0.514
45 O 0.951 0.384 0.770
46 O 0.331 0.739 0.890
47 O 0.669 0.239 0.110
48 O 0.805 0.963 0.393
49 K 0.704 0.935 0.110
50 K 0.274 0.191 0.118
51 K 0.226 0.191 0.618
52 K 0.796 0.935 0.610
53 K 0.296 0.435 0.890
54 K 0.774 0.691 0.382
55 K 0.726 0.691 0.882
56 K 0.204 0.435 0.390
57 Sb 0.257 0.756 0.245
58 Sb 0.757 0.256 0.255
59 Sb 0.992 0.001 0.882
60 Sb 0.743 0.256 0.755
61 Sb 0.492 0.501 0.618
62 Sb 0.008 0.501 0.118
63 Sb 0.243 0.756 0.745
64 Sb 0.508 0.001 0.382

Mg6SnB | GGA-PBE | optimized geometry

Output
Relative energy among the computed polymorphs (eV/atom): 0.148
Space group: Amm2

abc: 6.072 6.072 5.254
angles: 90.00 90.00 120.92
Sites, in units of the cell vectors:
1 Mg 0.332 0.668 0.000
2 Mg 0.167 0.833 0.500
3 Mg 0.331 0.165 0.000
4 Mg 0.835 0.669 0.000
5 Mg 0.154 0.329 0.500
6 Mg 0.671 0.846 0.500
7 B 0.839 0.161 0.000
8 Sn 0.670 0.330 0.500

Pr3AlNiS7 | GGA-PBE | optimized geometry

Output
Space group: P6_3

abc: 10.034 10.034 6.057
angles: 90.00 90.00 120.00
Sites, in units of the cell vectors:
1 S 0.861 0.087 0.787
2 S 0.226 0.139 0.787
3 S 0.913 0.774 0.787
4 S 0.097 0.579 0.019
5 S 0.579 0.482 0.519
6 S 0.482 0.903 0.019
7 S 0.139 0.913 0.287
8 S 0.333 0.667 0.532
9 S 0.421 0.518 0.019
10 S 0.774 0.861 0.287
11 S 0.667 0.333 0.032
12 S 0.518 0.097 0.519
13 S 0.087 0.226 0.287
14 S 0.903 0.421 0.519
15 Pr 0.372 0.231 0.242
16 Pr 0.858 0.628 0.242
17 Pr 0.628 0.769 0.742
18 Pr 0.769 0.142 0.242
19 Pr 0.231 0.858 0.742
20 Pr 0.142 0.372 0.742
21 Al 0.667 0.333 0.666
22 Al 0.333 0.667 0.166
23 Ni 0.000 0.000 0.519
24 Ni 0.000 0.000 0.019

MgSi2 | GGA-PBE | optimized geometry

Output
Relative energy among the computed polymorphs (eV/atom): 0.095
Space group: Cm

abc: 5.783 5.783 11.543
angles: 71.29 71.29 37.89
Sites, in units of the cell vectors:
1 Mg 0.225 0.225 0.174
2 Mg 0.775 0.775 0.586
3 Mg 0.153 0.153 0.839
4 Mg 0.515 0.515 0.373
5 Si 0.073 0.073 0.629
6 Si 0.424 0.424 0.852
7 Si 0.807 0.807 0.964
8 Si 0.841 0.841 0.326
9 Si 0.199 0.199 0.412
10 Si 0.943 0.943 0.101
11 Si 0.580 0.580 0.101
12 Si 0.430 0.430 0.643

Ce2In | GGA-PBE | optimized geometry

Output
Space group: P6_3/mmc

abc: 5.482 5.482 6.696
angles: 90.00 90.00 120.00
Sites, in units of the cell vectors:
1 In 0.333 0.667 0.250
2 In 0.667 0.333 0.750
3 Ce 0.000 0.000 0.500
4 Ce 0.667 0.333 0.250
5 Ce 0.000 0.000 0.000
6 Ce 0.333 0.667 0.750

NaAlH8N4 | GGA-PBE | optimized geometry

Output
Relative energy among the computed polymorphs (eV/atom): 0.000
Space group: P2_1/c

abc: 9.265 7.839 8.637
angles: 90.00 108.83 90.00
Sites, in units of the cell vectors:
1 N 0.097 0.493 0.654
2 N 0.613 0.880 0.570
3 N 0.613 0.620 0.070
4 N 0.903 0.507 0.346
5 N 0.961 0.045 0.132
6 N 0.387 0.120 0.430
7 N 0.039 0.545 0.368
8 N 0.961 0.455 0.632
9 N 0.378 0.199 0.960
10 N 0.378 0.301 0.460
11 N 0.039 0.955 0.868
12 N 0.097 0.007 0.154
13 N 0.622 0.699 0.540
14 N 0.387 0.380 0.930
15 N 0.622 0.801 0.040
16 N 0.903 0.993 0.846
17 H 0.399 0.379 0.365
18 H 0.399 0.121 0.865
19 H 0.889 0.016 0.985
20 H 0.073 0.129 0.475
21 H 0.542 0.836 0.926
22 H 0.458 0.336 0.574
23 H 0.044 0.193 0.524
24 H 0.271 0.335 0.467
25 H 0.729 0.665 0.533
26 H 0.271 0.165 0.967
27 H 0.601 0.879 0.135
28 H 0.044 0.307 0.024
29 H 0.712 0.592 0.165
30 H 0.956 0.693 0.976
31 H 0.889 0.484 0.485
32 H 0.073 0.371 0.975
33 H 0.288 0.092 0.335
34 H 0.309 0.807 0.513
35 H 0.927 0.629 0.025
36 H 0.542 0.664 0.426
37 H 0.691 0.193 0.487
38 H 0.111 0.984 0.015
39 H 0.458 0.164 0.074
40 H 0.601 0.621 0.635
41 H 0.712 0.908 0.665
42 H 0.288 0.408 0.835
43 H 0.111 0.516 0.515
44 H 0.956 0.807 0.476
45 H 0.729 0.835 0.033
46 H 0.309 0.693 0.013
47 H 0.691 0.307 0.987
48 H 0.927 0.871 0.525
49 Al 0.425 0.958 0.624
50 Al 0.575 0.458 0.876
51 Al 0.425 0.542 0.124
52 Al 0.575 0.042 0.376
53 Na 0.823 0.225 0.254
54 Na 0.823 0.275 0.754
55 Na 0.177 0.775 0.746
56 Na 0.177 0.725 0.246

Na2ThTi3O9 | GGA-PBE | optimized geometry

Output
Space group: P-3m1

abc: 5.504 5.504 6.721
angles: 90.00 90.00 120.00
Sites, in units of the cell vectors:
1 O 0.500 0.500 0.000
2 O 0.159 0.318 0.317
3 O 0.841 0.682 0.683
4 O 0.682 0.841 0.317
5 O 0.841 0.159 0.683
6 O 0.500 0.000 0.000
7 O 0.000 0.500 0.000
8 O 0.159 0.841 0.317
9 O 0.318 0.159 0.683
10 Th 0.000 0.000 0.000
11 Ti 0.000 0.000 0.500
12 Ti 0.333 0.667 0.175
13 Ti 0.667 0.333 0.825
14 Na 0.667 0.333 0.333
15 Na 0.333 0.667 0.667

Ba3SiS5 | GGA-PBE | optimized geometry

Output
Space group: Pnma

abc: 8.693 9.552 12.134
angles: 90.00 90.00 90.00
Sites, in units of the cell vectors:
1 S 0.513 0.750 0.505
2 S 0.150 0.750 0.271
3 S 0.013 0.250 0.995
4 S 0.683 0.066 0.945
5 S 0.850 0.250 0.729
6 S 0.317 0.566 0.055
7 S 0.682 0.750 0.234
8 S 0.318 0.250 0.766
9 S 0.817 0.066 0.445
10 S 0.487 0.250 0.495
11 S 0.818 0.750 0.734
12 S 0.182 0.250 0.266
13 S 0.817 0.434 0.445
14 S 0.683 0.434 0.945
15 S 0.183 0.566 0.555
16 S 0.317 0.934 0.055
17 S 0.650 0.250 0.229
18 S 0.183 0.934 0.555
19 S 0.350 0.750 0.771
20 S 0.987 0.750 0.005
21 Si 0.306 0.750 0.597
22 Si 0.194 0.750 0.097
23 Si 0.694 0.250 0.403
24 Si 0.806 0.250 0.903
25 Ba 0.614 0.750 0.980
26 Ba 0.078 0.520 0.817
27 Ba 0.922 0.480 0.183
28 Ba 0.578 0.020 0.683
29 Ba 0.886 0.750 0.480
30 Ba 0.422 0.980 0.317
31 Ba 0.578 0.480 0.683
32 Ba 0.078 0.980 0.817
33 Ba 0.422 0.520 0.317
34 Ba 0.922 0.020 0.183
35 Ba 0.386 0.250 0.020
36 Ba 0.114 0.250 0.520

KZnP2O7 | GGA-PBE | optimized geometry

Output
Space group: Pmc2_1

abc: 5.133 10.377 12.849
angles: 90.00 90.00 90.00
Sites, in units of the cell vectors:
1 O 0.567 0.164 0.873
2 O 0.958 0.290 0.500
3 O 0.824 0.513 0.884
4 O 0.580 0.980 0.000
5 O 0.433 0.664 0.127
6 O 0.685 0.730 0.626
7 O 0.176 0.013 0.116
8 O 0.824 0.513 0.116
9 O 0.685 0.730 0.374
10 O 0.087 0.586 0.612
11 O 0.913 0.086 0.612
12 O 0.871 0.308 0.309
13 O 0.433 0.664 0.873
14 O 0.871 0.308 0.691
15 O 0.396 0.433 0.809
16 O 0.087 0.586 0.388
17 O 0.604 0.933 0.809
18 O 0.396 0.433 0.191
19 O 0.315 0.230 0.626
20 O 0.604 0.933 0.191
21 O 0.042 0.790 0.500
22 O 0.420 0.480 0.000
23 O 0.129 0.808 0.691
24 O 0.176 0.013 0.884
25 O 0.129 0.808 0.309
26 O 0.913 0.086 0.388
27 O 0.567 0.164 0.127
28 O 0.315 0.230 0.374
29 P 0.016 0.223 0.613
30 P 0.984 0.723 0.387
31 P 0.984 0.723 0.613
32 P 0.528 0.524 0.114
33 P 0.016 0.223 0.387
34 P 0.528 0.524 0.886
35 P 0.472 0.024 0.886
36 P 0.472 0.024 0.114
37 K 0.994 0.267 0.000
38 K 0.501 0.487 0.500
39 K 0.006 0.767 0.000
40 K 0.499 0.987 0.500
41 Zn 0.475 0.773 0.252
42 Zn 0.475 0.773 0.748
43 Zn 0.525 0.273 0.252
44 Zn 0.525 0.273 0.748

Number 1: E_form -21.2 kcal/mol of atoms. Number 2: E_form -82.6 kcal/mol of atoms. Number 3: E_form -1.7 kcal/mol of atoms. Number 4: E_form -48.8 kcal/mol of atoms. Number 5: E_form 7.9 kcal/mol of atoms. Number 6: E_form -42.6 kcal/mol of atoms. Number 7: E_form 4.0 kcal/mol of atoms. Number 8: E_form -5.2 kcal/mol of atoms. Number 9: E_form -0.9 kcal/mol of atoms. Number 10: E_form -76.6 kcal/mol of atoms. Number 11: E_form -46.2 kcal/mol of atoms. Number 12: E_form -54.4 kcal/mol of atoms.